Arrangement 1

The following is a DFT calculation (PBE with a Hubbard U) of an optimized crystal structure of Mg2Mn3O8.

Cell lengths 5.813, 5.812, 4.944 Å; angles 76.79, 103.21, 120.31 degrees
Fractional positions:
Mg1 0.285 0.715 0.378
Mg2 0.715 0.285 0.622
Mn1 0.000 0.000 0.500
Mn2 0.258 0.258 0.000
Mn3 0.742 0.742 0.000
O1 0.102 0.898 0.887
O2 0.111 0.341 0.619
O3 0.659 0.889 0.619
O4 0.394 0.606 0.089
O5 0.606 0.394 0.911
O6 0.341 0.111 0.381
O7 0.889 0.659 0.380
O8 0.898 0.102 0.112

---

Arrangement 2

The following is a DFT calculation (PBE with a Hubbard U) of an optimized crystal structure of Mg2Mn3O8.

Cell lengths 5.849, 5.849, 9.391 Å; angles 90.00, 90.00, 120.00 degrees
Fractional positions:
Mg1 0.667 0.333 0.025
Mg2 0.333 0.667 0.525
Mg3 0.667 0.333 0.419
Mg4 0.333 0.667 0.919
Mn1 0.671 0.835 0.246
Mn2 0.835 0.165 0.746
Mn3 0.165 0.329 0.246
Mn4 0.835 0.671 0.746
Mn5 0.329 0.165 0.746
Mn6 0.165 0.835 0.246
O1 0.840 0.160 0.144
O2 0.680 0.840 0.644
O3 0.160 0.320 0.644
O4 0.840 0.680 0.144
O5 0.320 0.160 0.144
O6 0.160 0.840 0.644
O7 0.519 0.481 0.864
O8 0.037 0.519 0.364
O9 0.481 0.963 0.364
O10 0.519 0.037 0.864
O11 0.000 0.000 0.351
O12 0.000 0.000 0.851
O13 0.333 0.667 0.136
O14 0.963 0.481 0.864
O15 0.481 0.519 0.364
O16 0.667 0.333 0.636

---

Which of them is the least stable? Correct choice: arrangement 2.

---

Arrangement 1

The following is a DFT calculation (PBE with a Hubbard U) of an optimized crystal structure of MgMn6P6O24.

Cell lengths 8.979, 8.715, 8.820 Å; angles 110.95, 106.37, 105.70 degrees
Fractional positions:
Mg1 0.108 0.881 0.749
Mn1 0.052 0.449 0.263
Mn2 0.229 0.046 0.455
Mn3 0.730 0.956 0.542
Mn4 0.547 0.770 0.914
Mn5 0.480 0.283 0.057
Mn6 0.929 0.513 0.753
P1 0.591 0.399 0.783
P2 0.098 0.261 0.884
P3 0.863 0.080 0.290
P4 0.299 0.894 0.073
P5 0.792 0.576 0.391
P6 0.361 0.786 0.579
O1 0.408 0.292 0.642
O2 0.894 0.631 0.594
O3 0.929 0.592 0.314
O4 0.424 0.805 0.060
O5 0.292 0.317 0.937
O6 0.751 0.975 0.083
O7 0.547 0.904 0.635
O8 0.305 0.964 0.257
O9 0.998 0.055 0.747
O10 0.275 0.645 0.378
O11 0.753 0.083 0.395
O12 0.987 0.998 0.342
O13 0.349 0.687 0.696
O14 0.255 0.903 0.612
O15 0.963 0.278 0.334
O16 0.714 0.708 0.380
O17 0.716 0.339 0.710
O18 0.114 0.763 0.920
O19 0.052 0.374 0.793
O20 0.653 0.379 0.293
O21 0.653 0.605 0.843
O22 0.334 0.044 0.009
O23 0.619 0.368 0.952
O24 0.054 0.294 0.046

---

Arrangement 2

The following is a DFT calculation (PBE with a Hubbard U) of an optimized crystal structure of MgMn6P6O24.

Cell lengths 8.580, 8.877, 8.931 Å; angles 107.24, 110.44, 105.43 degrees
Fractional positions:
Mg1 0.418 0.596 0.199
Mn1 0.051 0.462 0.295
Mn2 0.280 0.073 0.427
Mn3 0.805 0.942 0.552
Mn4 0.540 0.763 0.915
Mn5 0.446 0.212 0.031
Mn6 0.881 0.538 0.786
P1 0.554 0.371 0.768
P2 0.063 0.294 0.921
P3 0.916 0.099 0.289
P4 0.283 0.851 0.063
P5 0.771 0.577 0.407
P6 0.397 0.798 0.547
O1 0.351 0.289 0.623
O2 0.838 0.636 0.606
O3 0.933 0.605 0.364
O4 0.383 0.726 0.055
O5 0.273 0.351 0.022
O6 0.740 0.988 0.118
O7 0.601 0.883 0.597
O8 0.355 0.966 0.262
O9 0.975 0.101 0.789
O10 0.290 0.644 0.349
O11 0.926 0.049 0.444
O12 0.083 0.090 0.259
O13 0.366 0.713 0.664
O14 0.319 0.937 0.555
O15 0.943 0.293 0.359
O16 0.691 0.712 0.357
O17 0.668 0.324 0.670
O18 0.074 0.749 0.980
O19 0.030 0.410 0.825
O20 0.608 0.403 0.290
O21 0.641 0.574 0.850
O22 0.335 0.959 0.969
O23 0.578 0.309 0.912
O24 0.990 0.317 0.058

---

Which of them is the least stable? Correct choice: arrangement 1.

---

Arrangement 1

The following is a DFT calculation (PBE with a Hubbard U) of an optimized crystal structure of MgTiMn5P6O24.

Cell lengths 8.877, 8.697, 8.762 Å; angles 60.02, 57.64, 59.68 degrees
Fractional positions:
Mg1 0.740 0.376 0.755
Ti1 0.547 0.134 0.164
Mn1 0.012 0.977 0.018
Mn2 0.069 0.645 0.644
Mn3 0.500 0.497 0.490
Mn4 0.441 0.858 0.855
Mn5 0.936 0.361 0.342
P1 0.212 0.261 0.568
P2 0.241 0.949 0.257
P3 0.279 0.539 0.942
P4 0.770 0.451 0.025
P5 0.745 0.039 0.758
P6 0.740 0.769 0.462
O1 0.058 0.100 0.314
O2 0.106 0.499 0.111
O3 0.019 0.324 0.562
O4 0.216 0.101 0.753
O5 0.375 0.204 0.382
O6 0.257 0.424 0.548
O7 0.251 0.911 0.096
O8 0.269 0.761 0.419
O9 0.636 0.590 0.919
O10 0.301 0.546 0.753
O11 0.783 0.252 0.048
O12 0.565 0.998 0.835
O13 0.414 0.009 0.190
O14 0.268 0.733 0.923
O15 0.711 0.464 0.221
O16 0.466 0.377 0.975
O17 0.724 0.240 0.606
O18 0.757 0.073 0.913
O19 0.705 0.591 0.499
O20 0.565 0.878 0.594
O21 0.748 0.909 0.253
O22 0.924 0.718 0.474
O23 0.968 0.473 0.891
O24 0.927 0.881 0.700

---

Arrangement 2

The following is a DFT calculation (PBE with a Hubbard U) of an optimized crystal structure of MgTiMn5P6O24.

Cell lengths 9.083, 8.688, 8.788 Å; angles 60.20, 57.85, 60.69 degrees
Fractional positions:
Mg1 0.240 0.252 0.262
Ti1 0.608 0.135 0.126
Mn1 0.028 0.991 0.018
Mn2 0.055 0.649 0.638
Mn3 0.488 0.504 0.499
Mn4 0.442 0.849 0.857
Mn5 0.887 0.378 0.362
P1 0.237 0.253 0.557
P2 0.255 0.948 0.255
P3 0.275 0.539 0.948
P4 0.753 0.461 0.033
P5 0.738 0.037 0.748
P6 0.739 0.759 0.458
O1 0.087 0.114 0.304
O2 0.101 0.492 0.116
O3 0.077 0.302 0.508
O4 0.223 0.100 0.750
O5 0.413 0.197 0.381
O6 0.252 0.426 0.557
O7 0.252 0.922 0.094
O8 0.259 0.761 0.421
O9 0.597 0.595 0.969
O10 0.299 0.546 0.760
O11 0.778 0.254 0.056
O12 0.567 0.980 0.840
O13 0.421 0.004 0.201
O14 0.260 0.731 0.936
O15 0.710 0.453 0.231
O16 0.434 0.370 0.015
O17 0.711 0.228 0.595
O18 0.747 0.067 0.908
O19 0.700 0.609 0.452
O20 0.568 0.852 0.600
O21 0.764 0.917 0.250
O22 0.917 0.696 0.480
O23 0.940 0.491 0.890
O24 0.918 0.887 0.686

---

Which of them is the least stable? Correct choice: arrangement 2.